DFT (PBE-GGA) results for an optimized crystal structure of LiInGeO4.

a b c (Å): 5.0688 6.1745 10.8904
angles (deg): 90.00 90.00 90.00
With the nearest neighbours (Å) after each atom.
Sites, in units of the cell vectors:
Li  0.0000  0.0000  0.0000  6 O 2.15-2.29
Li  0.5000  0.0000  0.5000  6 O 2.15-2.29
Li  0.0000  0.5000  0.0000  6 O 2.15-2.29
Li  0.5000  0.5000  0.5000  6 O 2.15-2.29
In  0.0073  0.7500  0.2722  6 O 2.14-2.27
In  0.4927  0.7500  0.7722  6 O 2.14-2.27
In  0.9927  0.2500  0.7278  6 O 2.14-2.27
In  0.5073  0.2500  0.2278  6 O 2.14-2.27
Ge  0.5582  0.7500  0.0870  4 O 1.75-1.81
Ge  0.9418  0.7500  0.5870  4 O 1.75-1.81
Ge  0.4418  0.2500  0.9130  4 O 1.75-1.81
Ge  0.0582  0.2500  0.4130  4 O 1.75-1.81
O  0.7729  0.5322  0.6661  1 Ge 1.81
O  0.2271  0.4678  0.3339  1 Ge 1.81
O  0.7271  0.5322  0.1661  1 Ge 1.81
O  0.7729  0.9678  0.6661  1 Ge 1.81
O  0.2729  0.0322  0.8339  1 Ge 1.81
O  0.7860  0.2500  0.9060  1 Ge 1.75
O  0.2729  0.4678  0.8339  1 Ge 1.81
O  0.2271  0.0322  0.3339  1 Ge 1.81
O  0.2140  0.7500  0.0940  1 Ge 1.75
O  0.7140  0.2500  0.4060  1 Ge 1.75
O  0.7895  0.7500  0.4411  1 Ge 1.77
O  0.2860  0.7500  0.5940  1 Ge 1.75
O  0.7105  0.7500  0.9411  1 Ge 1.77
O  0.2895  0.2500  0.0589  1 Ge 1.77
O  0.2105  0.2500  0.5589  1 Ge 1.77
O  0.7271  0.9678  0.1661  1 Ge 1.81

VASP energy, eV per cell: -166.157
Crystal system: orthorhombic
ΔH_f (0 K), eV/f.u.: -15.21

---

DFT (PBE-GGA) results for an optimized crystal structure of TlFe2Se2.

a b c (Å): 8.1275 8.1275 8.1275
angles (deg): 153.67 153.67 37.58
With the nearest neighbours (Å) after each atom.
Sites, in units of the cell vectors:
Tl  0.0000  0.0000  0.0000  8 Se 3.42, 4 Tl 3.70
Fe  0.7500  0.2500  0.5000  4 Se 2.48, 4 Fe 2.62
Fe  0.2500  0.7500  0.5000  4 Se 2.48, 4 Fe 2.62
Se  0.6427  0.6427  0.0000  4 Fe 2.48
Se  0.3573  0.3573  0.0000  4 Fe 2.48

VASP energy, eV per cell: -27.432
Crystal system: tetragonal
ΔH_f (0 K), eV/f.u.: -2.08

---

DFT (PBE-GGA) results for an optimized crystal structure of Na14Mg4In4Si5S7O48.

a b c (Å): 18.3645 9.1404 22.4601
angles (deg): 89.90 90.28 119.81
With the nearest neighbours (Å) after each atom.
Sites, in units of the cell vectors:
Na  0.8075  0.9945  0.2498  3 O 2.33-2.56
Na  0.1852  0.3577  0.2523  6 O 2.42-2.64
Na  0.6819  0.3516  0.2516  6 O 2.52-2.74
Na  0.0045  0.6508  0.2451  7 O 2.42-2.71
Na  0.5097  0.6515  0.2392  6 O 2.41-2.63
Na  0.3180  0.6193  0.7524  3 O 2.37-2.54
Na  0.0094  0.3669  0.7397  6 O 2.48-2.61
Na  0.5035  0.3744  0.7444  4 O 2.39-2.58
Na  0.1854  0.0180  0.7508  5 O 2.43-2.67
Na  0.6716  0.9941  0.7496  5 O 2.48-2.75
Na  0.1471  0.3253  0.5845  4 O 2.36-2.63
Na  0.6510  0.3246  0.5822  5 O 2.41-2.67
Na  0.3300  0.9768  0.5915  4 O 2.32-2.59
Na  0.8315  0.9878  0.5855  2 O 2.34-2.46
Na  0.1547  0.9836  0.0747  4 O 2.46-2.62
Na  0.6449  0.9657  0.0781  4 O 2.35-2.61
Na  0.3337  0.6777  0.0803  2 O 2.33-2.50
Na  0.8277  0.6810  0.0846  2 O 2.30-2.43
Na  0.4857  0.6793  0.9172  5 O 2.43-2.66
Na  0.9926  0.6816  0.9154  5 O 2.39-2.62
Na  0.3420  0.0322  0.9111  4 O 2.38-2.56
Na  0.8408  0.0273  0.9115  5 O 2.40-2.68
Na  0.1688  0.2795  0.9131  4 O 2.37-2.63
Na  0.6642  0.2793  0.9154  3 O 2.37-2.58
Na  0.4933  0.3049  0.4199  4 O 2.39-2.63
Na  0.9867  0.2981  0.4327  5 O 2.39-2.63
Na  0.1681  0.0550  0.4227  3 O 2.40-2.42
Na  0.6682  0.0576  0.4193  5 O 2.38-2.66
Na  0.3442  0.6546  0.4175  5 O 2.38-2.62
Na  0.8397  0.6510  0.4169  5 O 2.35-2.62
Na  0.0117  0.0167  0.5067  3 O 2.33-2.56
Na  0.5131  0.0079  0.5019  2 O 2.26-2.47
Na  0.0142  0.0212  0.9966  3 O 2.36-2.61
Na  0.5121  0.0058  0.0014  3 O 2.40-2.45
Na  0.3279  0.3345  0.8273  4 O 2.36-2.64
Na  0.8189  0.3254  0.8308  2 O 2.33-2.46
Na  0.3224  0.3142  0.3327  5 O 2.41-2.66
Na  0.8159  0.3190  0.3354  3 O 2.36-2.56
Na  0.1703  0.6704  0.1641  5 O 2.46-2.61
Na  0.6518  0.6484  0.1626  2 O 2.29-2.46
Na  0.1546  0.6546  0.6657  4 O 2.35-2.61
Na  0.6594  0.6692  0.6709  5 O 2.39-2.66
Mg  0.0117  0.0183  0.3497  4 O 1.95-2.18
Mg  0.5133  0.0212  0.3486  3 O 1.94-2.06
Mg  0.0114  0.0037  0.8480  3 O 1.92-2.06
Mg  0.5126  0.9916  0.8448  3 O 1.96-2.05
Mg  0.3274  0.3296  0.6859  5 O 1.99-2.22
Mg  0.8207  0.3214  0.1810  3 O 1.93-2.08
Mg  0.3271  0.3307  0.9862  4 O 1.97-2.17
Mg  0.8243  0.3172  0.9846  3 O 1.93-2.13
Mg  0.3240  0.3332  0.4869  3 O 1.93-2.07
Mg  0.8270  0.3264  0.4882  4 O 1.94-2.13
Mg  0.6654  0.6639  0.3180  4 O 1.95-2.15
Mg  0.1684  0.6712  0.8169  3 O 1.95-2.10
In  0.0104  0.0170  0.6493  5 O 2.06-2.25
In  0.5135  0.0040  0.6547  3 O 1.99-2.10
In  0.0098  0.0090  0.1504  5 O 2.05-2.28
In  0.5107  0.0045  0.1482  5 O 2.07-2.29
In  0.8269  0.3204  0.6797  4 O 2.04-2.19
In  0.3277  0.3317  0.1787  4 O 2.04-2.17
In  0.1619  0.6586  0.0133  4 O 2.02-2.21
In  0.6526  0.6522  0.0198  4 O 2.03-2.18
In  0.1549  0.6552  0.5223  4 O 2.04-2.22
In  0.6615  0.6635  0.5149  3 O 2.02-2.18
In  0.1723  0.6776  0.3190  4 O 2.02-2.26
In  0.6665  0.6680  0.8161  5 O 2.05-2.26
Si  0.1520  0.9974  0.2512  4 O 1.62-1.67
Si  0.6533  0.9956  0.2536  4 O 1.63-1.66
Si  0.1513  0.3110  0.7538  4 O 1.63-1.67
Si  0.6534  0.3070  0.7511  4 O 1.63-1.67
Si  0.4947  0.6884  0.7528  4 O 1.63-1.66
Si  0.9773  0.3300  0.5833  4 O 1.63-1.67
Si  0.1882  0.0374  0.5827  4 O 1.63-1.67
Si  0.6808  0.0255  0.5794  4 O 1.62-1.67
Si  0.4773  0.6243  0.0839  4 O 1.62-1.68
Si  0.1809  0.3373  0.0815  4 O 1.61-1.66
Si  0.6866  0.3406  0.0826  4 O 1.63-1.67
Si  0.1671  0.9641  0.9164  4 O 1.62-1.69
Si  0.6693  0.9678  0.9173  4 O 1.64-1.65
Si  0.1678  0.3715  0.4153  4 O 1.64-1.67
Si  0.6676  0.3711  0.4153  4 O 1.63-1.68
S  0.3544  0.7124  0.2520  4 O 1.48-1.50
S  0.8556  0.7107  0.2507  4 O 1.48-1.51
S  0.9971  0.2957  0.2512  4 O 1.48-1.50
S  0.4980  0.2945  0.2531  4 O 1.48-1.50
S  0.9985  0.7016  0.7532  4 O 1.48-1.50
S  0.3534  0.9974  0.7508  4 O 1.48-1.51
S  0.8566  0.9986  0.7521  4 O 1.48-1.51
S  0.4765  0.3306  0.5829  4 O 1.47-1.51
S  0.3373  0.6330  0.5827  4 O 1.47-1.50
S  0.8341  0.6323  0.5811  4 O 1.48-1.51
S  0.9766  0.6196  0.0850  4 O 1.48-1.52
S  0.3334  0.0348  0.0818  4 O 1.47-1.51
S  0.8384  0.0442  0.0849  4 O 1.48-1.51
S  0.3165  0.6707  0.9153  4 O 1.48-1.51
S  0.8192  0.6701  0.9184  4 O 1.49
S  0.0144  0.3643  0.9147  4 O 1.48-1.50
S  0.5121  0.3561  0.9154  4 O 1.48-1.50
S  0.3206  0.9716  0.4181  4 O 1.48-1.50
S  0.8179  0.9638  0.4126  4 O 1.49-1.50
S  0.0137  0.6680  0.4134  4 O 1.48-1.50
S  0.5147  0.6654  0.4134  4 O 1.48-1.49
O  0.1072  0.0289  0.3080  1 Si 1.62
O  0.6107  0.0330  0.3107  1 Si 1.63
O  0.4025  0.8039  0.3055  1 S 1.48
O  0.9086  0.8011  0.3030  1 S 1.48
O  0.4884  0.1935  0.3074  1 S 1.48
O  0.9838  0.1896  0.3047  1 S 1.49
O  0.1070  0.1895  0.8111  1 Si 1.63
O  0.6091  0.1865  0.8083  1 Si 1.63
O  0.4760  0.7673  0.8119  1 Si 1.63
O  0.9883  0.7823  0.8074  1 S 1.49
O  0.4067  0.0168  0.8034  1 S 1.48
O  0.9061  0.0056  0.8052  1 S 1.48
O  0.3911  0.9718  0.6951  1 S 1.51
O  0.8947  0.9807  0.6961  1 S 1.49
O  0.0902  0.2366  0.6937  1 Si 1.67
O  0.5958  0.2403  0.6890  1 Si 1.67
O  0.0073  0.8042  0.6992  1 S 1.49
O  0.5149  0.8112  0.6948  1 Si 1.64
O  0.3927  0.8071  0.1964  1 S 1.48
O  0.8927  0.8156  0.1953  1 S 1.51
O  0.0093  0.2146  0.1976  1 S 1.49
O  0.5072  0.2106  0.1993  1 S 1.49
O  0.0922  0.9484  0.1903  1 Si 1.67
O  0.5935  0.9525  0.1935  1 Si 1.66
O  0.4356  0.3460  0.6365  1 S 1.47
O  0.9367  0.3544  0.6450  1 Si 1.65
O  0.2456  0.1237  0.6416  1 Si 1.63
O  0.7349  0.0959  0.6418  1 Si 1.65
O  0.3303  0.5311  0.6354  1 S 1.47
O  0.8204  0.5262  0.6344  1 S 1.48
O  0.4389  0.5219  0.1473  1 Si 1.66
O  0.9361  0.5234  0.1398  1 S 1.48
O  0.3186  0.1105  0.1359  1 S 1.49
O  0.8329  0.1322  0.1387  1 S 1.48
O  0.2322  0.3718  0.1455  1 Si 1.66
O  0.7413  0.3745  0.1441  1 Si 1.64
O  0.2258  0.3051  0.0254  1 Si 1.61
O  0.7301  0.3112  0.0245  1 Si 1.63
O  0.4214  0.5288  0.0259  1 Si 1.62
O  0.9298  0.5327  0.0304  1 S 1.48
O  0.3423  0.1330  0.0278  1 S 1.47
O  0.8503  0.1439  0.0301  1 S 1.48
O  0.2265  0.1452  0.5214  1 Si 1.64
O  0.7252  0.1413  0.5214  1 Si 1.62
O  0.3481  0.5572  0.5268  1 S 1.49
O  0.8437  0.5537  0.5263  1 S 1.48
O  0.4305  0.3257  0.5274  1 S 1.49
O  0.9246  0.3180  0.5233  1 Si 1.63
O  0.2784  0.6926  0.9717  1 S 1.51
O  0.7816  0.6989  0.9728  1 S 1.49
O  0.0700  0.4314  0.9686  1 S 1.50
O  0.5711  0.4296  0.9672  1 S 1.50
O  0.1465  0.8461  0.9787  1 Si 1.69
O  0.6549  0.8497  0.9765  1 Si 1.65
O  0.2809  0.8631  0.4708  1 S 1.48
O  0.7814  0.8630  0.4681  1 S 1.50
O  0.1525  0.4672  0.4714  1 Si 1.64
O  0.6485  0.4532  0.4759  1 Si 1.68
O  0.0728  0.7094  0.4642  1 S 1.49
O  0.5706  0.7079  0.4668  1 S 1.49
O  0.0511  0.6375  0.3587  1 S 1.50
O  0.5559  0.6405  0.3609  1 S 1.48
O  0.2629  0.9026  0.3652  1 S 1.50
O  0.7616  0.8780  0.3611  1 S 1.49
O  0.1852  0.4873  0.3540  1 Si 1.67
O  0.6812  0.4924  0.3582  1 Si 1.63
O  0.0560  0.4724  0.8625  1 S 1.48
O  0.5509  0.4636  0.8618  1 S 1.49
O  0.1795  0.8651  0.8610  1 Si 1.62
O  0.6907  0.8840  0.8597  1 Si 1.65
O  0.2601  0.6445  0.8642  1 S 1.48
O  0.7609  0.6291  0.8669  1 S 1.49
O  0.0004  0.8147  0.4066  1 S 1.49
O  0.4985  0.8088  0.4068  1 S 1.49
O  0.4016  0.9756  0.4082  1 S 1.49
O  0.9014  0.9762  0.4054  1 S 1.49
O  0.0818  0.1860  0.4128  1 Si 1.65
O  0.5818  0.1832  0.4138  1 Si 1.66
O  0.9976  0.1882  0.9084  1 S 1.49
O  0.4986  0.1832  0.9081  1 S 1.48
O  0.0811  0.9805  0.9139  1 Si 1.66
O  0.5835  0.9813  0.9138  1 Si 1.64
O  0.3987  0.8274  0.9103  1 S 1.48
O  0.9011  0.8275  0.9089  1 S 1.49
O  0.4794  0.1679  0.5837  1 S 1.51
O  0.9784  0.1481  0.5842  1 Si 1.67
O  0.0934  0.0170  0.5862  1 Si 1.66
O  0.5904  0.0230  0.5826  1 Si 1.65
O  0.4079  0.8103  0.5863  1 S 1.49
O  0.9072  0.8034  0.5873  1 S 1.48
O  0.4795  0.8098  0.0849  1 Si 1.68
O  0.9782  0.7878  0.0855  1 S 1.52
O  0.4066  0.0102  0.0886  1 S 1.48
O  0.9105  0.0101  0.0894  1 S 1.51
O  0.0884  0.1603  0.0840  1 Si 1.66
O  0.5926  0.1703  0.0850  1 Si 1.65
O  0.3461  0.1520  0.7463  1 S 1.49
O  0.8536  0.1602  0.7518  1 S 1.51
O  0.2424  0.3207  0.7461  1 Si 1.64
O  0.7435  0.3062  0.7449  1 Si 1.66
O  0.4157  0.4980  0.7436  1 Si 1.63
O  0.9258  0.5283  0.7494  1 S 1.48
O  0.3504  0.5439  0.2522  1 S 1.50
O  0.8530  0.5452  0.2462  1 S 1.49
O  0.4248  0.3215  0.2497  1 S 1.48
O  0.9239  0.3207  0.2443  1 S 1.48
O  0.2435  0.1726  0.2448  1 Si 1.65
O  0.7473  0.1666  0.2462  1 Si 1.66
O  0.3269  0.5196  0.9192  1 S 1.49
O  0.8349  0.5256  0.9245  1 S 1.49
O  0.4309  0.3502  0.9243  1 S 1.48
O  0.9334  0.3622  0.9239  1 S 1.49
O  0.2527  0.1502  0.9218  1 Si 1.65
O  0.7547  0.1552  0.9203  1 Si 1.65
O  0.3362  0.1468  0.4248  1 S 1.49
O  0.8282  0.1356  0.4167  1 S 1.49
O  0.2537  0.3569  0.4194  1 Si 1.65
O  0.7535  0.3562  0.4210  1 Si 1.65
O  0.4334  0.5065  0.4222  1 S 1.49
O  0.9317  0.5128  0.4219  1 S 1.48
O  0.1772  0.5152  0.0772  1 Si 1.66
O  0.6838  0.5198  0.0780  1 Si 1.67
O  0.0653  0.6555  0.0841  1 S 1.49
O  0.5761  0.6698  0.0852  1 Si 1.65
O  0.2558  0.8622  0.0785  1 S 1.51
O  0.7600  0.8776  0.0821  1 S 1.49
O  0.1860  0.8524  0.5790  1 Si 1.67
O  0.6775  0.8402  0.5759  1 Si 1.67
O  0.2572  0.6398  0.5794  1 S 1.50
O  0.7563  0.6484  0.5773  1 S 1.51
O  0.0764  0.4815  0.5855  1 Si 1.65
O  0.5655  0.4738  0.5817  1 S 1.50
O  0.1556  0.8191  0.2556  1 Si 1.67
O  0.6628  0.8252  0.2589  1 Si 1.66
O  0.2658  0.6799  0.2521  1 S 1.50
O  0.7697  0.6853  0.2550  1 S 1.48
O  0.0753  0.4639  0.2555  1 S 1.50
O  0.5767  0.4637  0.2565  1 S 1.50
O  0.1624  0.5012  0.7590  1 Si 1.65
O  0.6629  0.4945  0.7563  1 Si 1.64
O  0.0775  0.6914  0.7566  1 S 1.50
O  0.5836  0.6822  0.7551  1 Si 1.66
O  0.2679  0.8474  0.7555  1 S 1.49
O  0.7693  0.8554  0.7530  1 S 1.48

VASP energy, eV per cell: -1471.808
Crystal system: triclinic
ΔH_f (0 K), eV/f.u.: -194.07

---

DFT (PBE-GGA) results for an optimized crystal structure of LiBiO2.

a b c (Å): 9.9802 9.9802 9.9802
angles (deg): 152.40 148.91 42.05
With the nearest neighbours (Å) after each atom.
Sites, in units of the cell vectors:
Li  0.2497  0.9997  0.7500  4 O 2.00
Li  0.7503  0.5003  0.7500  4 O 2.00
Li  0.7503  0.0003  0.2500  4 O 2.00
Li  0.2497  0.4997  0.2500  4 O 2.00
Bi  0.3298  0.0903  0.2395  2 O 2.08-2.15
Bi  0.6702  0.9097  0.7605  2 O 2.08-2.15
Bi  0.1491  0.4097  0.7395  2 O 2.08-2.15
Bi  0.8509  0.5903  0.2605  2 O 2.08-2.15
O  0.4526  0.2018  0.2507  4 Li 2.00, 1 Bi 2.08
O  0.5474  0.7982  0.7493  4 Li 2.00, 1 Bi 2.08
O  0.0489  0.2982  0.7507  4 Li 2.00, 1 Bi 2.08
O  0.9511  0.7018  0.2493  4 Li 2.00, 1 Bi 2.08
O  0.9193  0.0813  0.8379  1 Bi 2.15
O  0.0807  0.9187  0.1621  1 Bi 2.15
O  0.7566  0.4187  0.3379  1 Bi 2.15
O  0.2434  0.5813  0.6621  1 Bi 2.15

VASP energy, eV per cell: -86.725
Crystal system: orthorhombic
ΔH_f (0 K), eV/f.u.: -7.36

---

DFT (PBE-GGA) results for an optimized crystal structure of Ho2Se3.

a b c (Å): 14.3532 14.3532 14.3532
angles (deg): 144.83 144.83 50.59
With the nearest neighbours (Å) after each atom.
Sites, in units of the cell vectors:
Ho  0.7197  0.5947  0.3938  7 Se 2.84-3.12
Ho  0.2010  0.3259  0.6062  7 Se 2.84-3.12
Ho  0.4178  0.9178  0.5000  8 Se 2.87-3.14
Ho  0.9922  0.6250  0.8672  8 Se 2.88-3.22
Ho  0.3322  0.3322  0.0000  8 Se 2.87-3.14
Ho  0.0303  0.9241  0.3751  7 Se 2.84-3.12
Ho  0.5490  0.6553  0.6249  7 Se 2.84-3.12
Ho  0.7578  0.1250  0.1328  8 Se 2.88-3.22
Ho  0.3447  0.9697  0.8938  7 Se 2.84-3.12
Ho  0.6678  0.6678  0.0000  8 Se 2.87-3.14
Ho  0.3750  0.2422  0.3672  8 Se 2.88-3.22
Ho  0.8750  0.0078  0.6328  8 Se 2.88-3.22
Ho  0.0759  0.4510  0.1062  7 Se 2.84-3.12
Ho  0.0822  0.5822  0.5000  8 Se 2.87-3.14
Ho  0.6741  0.2803  0.8751  7 Se 2.84-3.12
Ho  0.4053  0.7990  0.1249  7 Se 2.84-3.12
Se  0.5001  0.2549  0.8855  4 Ho 2.87-3.14
Se  0.7113  0.8258  0.7470  5 Ho 2.84-3.12
Se  0.3693  0.6146  0.1145  4 Ho 2.87-3.14
Se  0.2499  0.6354  0.2547  4 Ho 2.87-3.14
Se  0.3807  0.9951  0.7453  4 Ho 2.87-3.14
Se  0.6712  0.4242  0.3854  5 Ho 2.84-3.12
Se  0.0788  0.9643  0.2530  5 Ho 2.84-3.12
Se  0.8469  0.5912  0.9027  5 Ho 2.86-3.09
Se  0.0387  0.2857  0.6146  5 Ho 2.84-3.12
Se  0.0558  0.1531  0.7444  5 Ho 2.86-3.09
Se  0.6886  0.9442  0.0973  5 Ho 2.86-3.09
Se  0.5758  0.9613  0.2470  5 Ho 2.84-3.12
Se  0.7143  0.3288  0.7530  5 Ho 2.84-3.12
Se  0.0049  0.7501  0.3855  4 Ho 2.87-3.14
Se  0.4088  0.3114  0.2556  5 Ho 2.86-3.09
Se  0.1742  0.9212  0.8854  5 Ho 2.84-3.12
Se  0.3646  0.6193  0.6145  4 Ho 2.87-3.14
Se  0.3854  0.4999  0.7547  4 Ho 2.87-3.14
Se  0.0357  0.2887  0.1146  5 Ho 2.84-3.12
Se  0.9031  0.3058  0.2444  5 Ho 2.86-3.09
Se  0.0614  0.6588  0.7556  5 Ho 2.86-3.09
Se  0.3412  0.0969  0.4027  5 Ho 2.86-3.09
Se  0.7451  0.6307  0.2453  4 Ho 2.87-3.14
Se  0.6942  0.9386  0.5973  5 Ho 2.86-3.09

VASP energy, eV per cell: -229.802
Crystal system: tetragonal
ΔH_f (0 K), eV/f.u.: -10.49

---

DFT (PBE-GGA) results for an optimized crystal structure of RbHF2.

a b c (Å): 5.6016 5.6016 5.6016
angles (deg): 116.34 115.27 97.44
With the nearest neighbours (Å) after each atom.
Sites, in units of the cell vectors:
Rb  0.1184  0.0000  0.1184  8 F 2.91-3.05
Rb  0.6184  0.5000  0.1184  8 F 2.91-3.05
H  0.3599  0.7538  0.6136  2 F 1.14-1.16
H  0.8599  0.2462  0.6061  2 F 1.14-1.16
F  0.7289  0.1022  0.3312  1 H 1.16
F  0.2289  0.8978  0.6267  1 H 1.16
F  0.4878  0.6104  0.5982  1 H 1.14
F  0.9878  0.3896  0.8774  1 H 1.14

VASP energy, eV per cell: -34.428
Crystal system: orthorhombic
Maximum piezoelectric response, C/m2: 0.5
ΔH_f (0 K), eV/f.u.: -9.94